The following is a r²SCAN calculation of a geometry-optimized Tl2PtI6 structure, from Materials Project.

Cell and atoms, written as POSCAR:
```
Tl2PtI6
1.0
7.590 0.000 0.000
0.000 7.590 0.000
0.000 0.000 11.794
Tl Pt I
4 2 12
Direct
0.000 0.500 0.250 Tl
0.000 0.500 0.750 Tl
0.500 0.000 0.250 Tl
0.500 0.000 0.750 Tl
0.000 0.000 0.000 Pt
0.500 0.500 0.500 Pt
0.000 0.000 0.228 I
0.000 0.000 0.772 I
0.195 0.297 0.000 I
0.203 0.305 0.500 I
0.297 0.805 0.000 I
0.305 0.797 0.500 I
0.500 0.500 0.272 I
0.500 0.500 0.728 I
0.695 0.203 0.500 I
0.703 0.195 0.000 I
0.797 0.695 0.500 I
0.805 0.703 0.000 I
```

Values from the calculation:
For the energy of formation, the calculation gives -473 meV per atom.